# 1
A relaxed BiOF crystal. Source: the Materials Project database, functional GGA-PBE.

abc: 3.792 6.377 7.389
angles: 90.00 90.00 90.00
Fractional coordinates of all 12 atoms:
F 0.250 0.457 0.161
F 0.750 0.043 0.661
F 0.750 0.543 0.839
F 0.250 0.957 0.339
Bi 0.250 0.720 0.586
Bi 0.750 0.280 0.414
Bi 0.750 0.780 0.086
Bi 0.250 0.220 0.914
O 0.750 0.137 0.068
O 0.250 0.363 0.568
O 0.750 0.637 0.432
O 0.250 0.863 0.932

* formation enthalpy at 0 K: -2.192 eV per atom
* space group: No. 62
* ρ: 9.07 g/cm³

# 2
A relaxed RbPaF6 crystal. Source: the Materials Project database, functional GGA-PBE.

abc: 7.241 7.241 7.203
angles: 90.00 90.00 112.45
Fractional coordinates of all 16 atoms:
F 0.406 0.118 0.238
F 0.906 0.618 0.762
F 0.382 0.094 0.762
F 0.618 0.906 0.238
F 0.349 0.651 0.017
F 0.651 0.349 0.983
F 0.151 0.849 0.017
F 0.882 0.594 0.238
F 0.118 0.406 0.762
F 0.849 0.151 0.983
F 0.594 0.882 0.762
F 0.094 0.382 0.238
Pa 0.000 0.500 0.000
Pa 0.500 0.000 0.000
Rb 0.250 0.750 0.493
Rb 0.750 0.250 0.507

* formation enthalpy at 0 K: -3.865 eV per atom
* space group: No. 67
* ρ: 4.10 g/cm³

# 3
A relaxed CaEu4O5 crystal. Source: the Materials Project database, functional GGA-PBE.

abc: 6.177 6.177 6.177
angles: 99.61 99.61 131.76
Fractional coordinates of all 10 atoms:
Eu 0.600 0.201 0.800
Eu 0.400 0.799 0.200
Eu 0.799 0.600 0.399
Eu 0.201 0.400 0.601
O 0.707 0.902 0.609
O 0.902 0.293 0.194
O 0.098 0.707 0.806
O 0.500 0.500 0.000
O 0.293 0.098 0.391
Ca 0.000 0.000 0.000

* formation enthalpy at 0 K: -3.153 eV per atom
* space group: No. 87
* ρ: 7.54 g/cm³

# 4
A relaxed Nb3V5B8Ir4 crystal. Source: the Materials Project database, functional GGA-PBE.

abc: 3.217 7.318 9.359
angles: 89.86 90.00 90.00
Fractional coordinates of all 20 atoms:
Ir 0.000 0.364 0.887
Ir 0.000 0.634 0.110
Ir 0.500 0.135 0.396
Ir 0.500 0.874 0.609
B 0.000 0.891 0.960
B 0.000 0.884 0.766
B 0.500 0.372 0.729
B 0.500 0.382 0.540
B 0.000 0.111 0.037
B 0.500 0.609 0.463
B 0.500 0.618 0.270
B 0.000 0.120 0.234
V 0.500 0.931 0.135
V 0.000 0.569 0.635
V 0.500 0.072 0.861
V 0.000 0.185 0.630
V 0.000 0.428 0.366
Nb 0.500 0.322 0.129
Nb 0.000 0.823 0.372
Nb 0.500 0.678 0.870

* formation enthalpy at 0 K: -0.688 eV per atom
* space group: No. 6
* ρ: 10.47 g/cm³

# 5
A relaxed Sn4Te5Pb crystal. Source: the Materials Project database, functional GGA-PBE.

abc: 16.637 16.637 16.637
angles: 164.35 164.35 22.20
Fractional coordinates of all 10 atoms:
Te 0.300 0.300 0.000
Te 0.500 0.500 0.000
Te 0.700 0.700 0.000
Te 0.101 0.101 0.000
Te 0.899 0.899 0.000
Sn 0.800 0.800 0.000
Sn 0.200 0.200 0.000
Sn 0.400 0.400 0.000
Sn 0.600 0.600 0.000
Pb 0.000 0.000 0.000

* formation enthalpy at 0 K: -0.301 eV per atom
* space group: No. 139
* ρ: 6.54 g/cm³

# 6
A relaxed NaPd2Pb crystal. Source: the Materials Project database, functional GGA-PBE.

abc: 4.754 4.754 4.754
angles: 60.00 60.00 60.00
Fractional coordinates of all 4 atoms:
Pd 0.750 0.750 0.750
Pd 0.250 0.250 0.250
Pb 0.000 0.000 0.000
Na 0.500 0.500 0.500

* formation enthalpy at 0 K: -0.234 eV per atom
* space group: No. 225
* ρ: 9.68 g/cm³

# 7
A relaxed NpTcO3 crystal. Source: the Materials Project database, functional GGA-PBE.

abc: 3.975 3.975 3.975
angles: 90.00 90.00 90.00
Fractional coordinates of all 5 atoms:
Np 0.000 0.000 0.000
O 0.500 0.500 0.000
O 0.000 0.500 0.500
O 0.500 0.000 0.500
Tc 0.500 0.500 0.500

* formation enthalpy at 0 K: -2.041 eV per atom
* space group: No. 221
* ρ: 10.13 g/cm³